(1)
Here is a relaxed structure of AlF3 from the Materials Project. Energies are from PBE-GGA.

a b c (Å): 9.8820 11.0003 11.2689
angles (deg): 91.94 93.16 91.09
Fractional coordinates of all 100 atoms:
Al 0.0000 0.0000 0.0000
Al 0.9997 0.2439 0.3383
Al 0.0028 0.5152 0.8394
Al 0.1188 0.2166 0.6408
Al 0.1575 0.0003 0.2883
Al 0.1919 0.7159 0.5057
Al 0.2648 0.3150 0.1491
Al 0.2921 0.9585 0.5745
Al 0.3098 0.5880 0.9720
Al 0.3280 0.0385 0.9887
Al 0.3719 0.5886 0.2759
Al 0.4699 0.2513 0.5844
Al 0.4849 0.5799 0.5830
Al 0.5050 0.1297 0.3096
Al 0.5653 0.0171 0.7613
Al 0.5745 0.5725 0.8759
Al 0.6025 0.8273 0.2387
Al 0.6732 0.0815 0.0611
Al 0.6832 0.4814 0.1682
Al 0.7738 0.1361 0.5378
Al 0.8091 0.7886 0.7919
Al 0.8530 0.8272 0.4629
Al 0.9164 0.3019 0.0447
Al 0.9176 0.5327 0.4136
Al 0.9840 0.7483 0.1870
F 0.0027 0.4055 0.3424
F 0.0087 0.0771 0.3258
F 0.0357 0.8076 0.4710
F 0.0537 0.4846 0.7050
F 0.0732 0.5898 0.5029
F 0.0923 0.3456 0.0842
F 0.0954 0.2438 0.4853
F 0.1093 0.0410 0.1382
F 0.1141 0.2692 0.7809
F 0.1369 0.8420 0.2537
F 0.1412 0.5130 0.9397
F 0.1560 0.9957 0.9237
F 0.1649 0.2427 0.2673
F 0.1760 0.9911 0.4486
F 0.1860 0.0662 0.6572
F 0.1974 0.8308 0.6363
F 0.2389 0.6564 0.3587
F 0.2396 0.7065 0.8975
F 0.2656 0.1838 0.0315
F 0.2832 0.4420 0.2618
F 0.2864 0.6268 0.1290
F 0.2947 0.2777 0.6204
F 0.3116 0.6241 0.5868
F 0.3197 0.0640 0.2998
F 0.3315 0.8300 0.4751
F 0.3354 0.9247 0.0847
F 0.3384 0.4147 0.0519
F 0.3954 0.0895 0.5331
F 0.4043 0.4933 0.8696
F 0.4079 0.0063 0.8552
F 0.4132 0.2356 0.2111
F 0.4466 0.9309 0.6624
F 0.4495 0.5487 0.4212
F 0.4569 0.7405 0.2711
F 0.4680 0.2540 0.4219
F 0.4780 0.6686 0.9790
F 0.4868 0.4196 0.6051
F 0.4955 0.1043 0.0402
F 0.5019 0.1710 0.7265
F 0.5018 0.6350 0.7376
F 0.5145 0.9609 0.2848
F 0.5182 0.5345 0.2078
F 0.6142 0.6740 0.5556
F 0.6327 0.0909 0.4314
F 0.6348 0.3381 0.1919
F 0.6355 0.9137 0.1077
F 0.6425 0.5111 0.0166
F 0.6532 0.1236 0.2155
F 0.6542 0.8717 0.7725
F 0.6589 0.2553 0.5826
F 0.6629 0.0540 0.8969
F 0.6721 0.4761 0.7962
F 0.6849 0.8373 0.3890
F 0.6957 0.7053 0.1858
F 0.6992 0.0516 0.6588
F 0.7103 0.6979 0.8833
F 0.7487 0.2280 0.0177
F 0.7676 0.5133 0.3091
F 0.8354 0.6700 0.4598
F 0.8415 0.0218 0.0724
F 0.8459 0.2159 0.4158
F 0.8477 0.8086 0.6418
F 0.8492 0.4349 0.1140
F 0.8553 0.9865 0.4960
F 0.8589 0.4443 0.5206
F 0.8904 0.8425 0.2854
F 0.9055 0.9106 0.8681
F 0.9155 0.3960 0.9063
F 0.9163 0.2334 0.1923
F 0.9311 0.1727 0.6287
F 0.9330 0.6625 0.8159
F 0.9533 0.6440 0.0737
F 0.9804 0.1607 0.9673
F 0.9901 0.6309 0.2922
F 0.9983 0.8542 0.0668

Calculated values
The value obtained for the corrected total energy (MP2020 scheme) is -6.0573 eV per atom. For the uncorrected energy, the calculation gives -5.711 eV/atom. As for the crystal system: triclinic. The space-group type is P1.

---

(2)
Here is a relaxed structure of KMg3AlGe3O10F2 from the Materials Project. Energies are from PBE-GGA.

a b c (Å): 5.4657 5.4668 10.6747
angles (deg): 80.28 85.28 60.02
Fractional coordinates of all 20 atoms:
K 0.0000 0.0000 0.0000
Mg 0.0032 0.4950 0.5323
Mg 0.3353 0.8152 0.5323
Mg 0.6602 0.1582 0.5326
Al 0.3336 0.4006 0.7953
Ge 0.3340 0.2471 0.2542
Ge 0.6661 0.7330 0.7999
Ge 0.6676 0.5816 0.2544
O 0.0005 0.4582 0.8547
O 0.0005 0.5146 0.1868
O 0.3345 0.1901 0.4201
O 0.3351 0.4561 0.6263
O 0.4102 0.6369 0.8555
O 0.4226 0.9367 0.1864
O 0.5776 0.3596 0.1874
O 0.5895 0.0479 0.8555
O 0.6644 0.7906 0.6280
O 0.6680 0.5284 0.4202
F 0.0002 0.1319 0.6126
F 0.9939 0.8596 0.4327

Calculated values
The value obtained for the corrected total energy (MP2020 scheme) is -6.6523 eV per atom. For the uncorrected energy, the calculation gives -6.263 eV/atom. As for the crystal system: triclinic. The space-group type is P1.

---

(3)
Here is a relaxed structure of Al2GeO4F2 from the Materials Project. Energies are from PBE-GGA.

a b c (Å): 9.0874 8.6317 4.8179
angles (deg): 90.00 90.00 90.00
Fractional coordinates of all 36 atoms:
Al 0.1310 0.0822 0.0936
Al 0.1310 0.4178 0.0936
Al 0.3690 0.5822 0.5936
Al 0.3690 0.9178 0.5936
Al 0.6310 0.0822 0.4064
Al 0.6310 0.4178 0.4064
Al 0.8690 0.5822 0.9064
Al 0.8690 0.9178 0.9064
Ge 0.0600 0.7500 0.3993
Ge 0.4400 0.2500 0.8993
Ge 0.5600 0.7500 0.1007
Ge 0.9400 0.2500 0.6007
O 0.0091 0.5841 0.2041
O 0.0091 0.9159 0.2041
O 0.0354 0.2500 0.2803
O 0.2462 0.2500 0.9587
O 0.2538 0.7500 0.4587
O 0.4646 0.7500 0.7803
O 0.4909 0.0841 0.7041
O 0.4909 0.4159 0.7041
O 0.5091 0.5841 0.2959
O 0.5091 0.9159 0.2959
O 0.5354 0.2500 0.2197
O 0.7462 0.2500 0.5413
O 0.7538 0.7500 0.0413
O 0.9646 0.7500 0.7197
O 0.9909 0.0841 0.7959
O 0.9909 0.4159 0.7959
F 0.2492 0.5525 0.8957
F 0.2492 0.9475 0.8957
F 0.2508 0.0525 0.3957
F 0.2508 0.4475 0.3957
F 0.7492 0.5525 0.6043
F 0.7492 0.9475 0.6043
F 0.7508 0.0525 0.1043
F 0.7508 0.4475 0.1043

Calculated values
The value obtained for the corrected total energy (MP2020 scheme) is -7.1424 eV per atom. For the uncorrected energy, the calculation gives -6.734 eV/atom. As for the crystal system: orthorhombic. The space-group type is Pnma.

---

(4)
Here is a relaxed structure of K2AlH2OF5 from the Materials Project. Energies are from PBE-GGA.

a b c (Å): 6.2155 6.2155 7.6090
angles (deg): 90.00 90.00 81.40
Fractional coordinates of all 22 atoms:
K 0.0028 0.5761 0.7500
K 0.4239 0.9972 0.7500
K 0.5761 0.0028 0.2500
K 0.9972 0.4239 0.2500
Al 0.5000 0.5000 0.0000
Al 0.5000 0.5000 0.5000
H 0.1080 0.8920 0.1481
H 0.1080 0.8920 0.3519
H 0.8920 0.1080 0.6481
H 0.8920 0.1080 0.8519
O 0.0329 0.9671 0.2500
O 0.9671 0.0329 0.7500
F 0.2759 0.7241 0.0023
F 0.2759 0.7241 0.4977
F 0.3090 0.3090 0.0000
F 0.3090 0.3090 0.5000
F 0.4944 0.5056 0.7500
F 0.5056 0.4944 0.2500
F 0.6910 0.6910 0.0000
F 0.6910 0.6910 0.5000
F 0.7241 0.2759 0.5023
F 0.7241 0.2759 0.9977

Calculated values
The value obtained for the corrected total energy (MP2020 scheme) is -5.3808 eV per atom. For the uncorrected energy, the calculation gives -5.108 eV/atom. As for the crystal system: orthorhombic. The space-group type is Cmcm.

---

(5)
Here is a relaxed structure of KAl2P2H8O12F from the Materials Project. Energies are from PBE-GGA.

a b c (Å): 9.4369 9.7941 5.6289
angles (deg): 90.00 90.00 90.00
Fractional coordinates of all 52 atoms:
K 0.0000 0.0000 0.0000
K 0.5000 0.5000 0.0000
Al 0.1398 0.3886 0.0426
Al 0.3602 0.8886 0.0426
Al 0.6398 0.1114 0.0426
Al 0.8602 0.6114 0.0426
P 0.1479 0.6746 0.7930
P 0.3521 0.1746 0.7930
P 0.6479 0.8254 0.7930
P 0.8521 0.3254 0.7930
H 0.0135 0.7263 0.3744
H 0.1502 0.2263 0.3988
H 0.2159 0.8815 0.4298
H 0.2273 0.5371 0.4019
H 0.2727 0.0371 0.4019
H 0.2841 0.3815 0.4298
H 0.3498 0.7263 0.3988
H 0.4865 0.2263 0.3744
H 0.5135 0.7737 0.3744
H 0.6502 0.2737 0.3988
H 0.7159 0.6185 0.4298
H 0.7273 0.9629 0.4019
H 0.7727 0.4629 0.4019
H 0.7841 0.1185 0.4298
H 0.8498 0.7737 0.3988
H 0.9865 0.2737 0.3744
O 0.0152 0.3201 0.8203
O 0.0735 0.2495 0.2823
O 0.1852 0.7052 0.5292
O 0.2076 0.5320 0.8586
O 0.2101 0.7831 0.9619
O 0.2361 0.9558 0.3143
O 0.2639 0.4558 0.3143
O 0.2899 0.2831 0.9619
O 0.2924 0.0320 0.8586
O 0.3148 0.2052 0.5292
O 0.4265 0.7495 0.2823
O 0.4848 0.8201 0.8203
O 0.5152 0.1799 0.8203
O 0.5735 0.2505 0.2823
O 0.6852 0.7948 0.5292
O 0.7076 0.9680 0.8586
O 0.7101 0.7169 0.9619
O 0.7361 0.5442 0.3143
O 0.7639 0.0442 0.3143
O 0.7899 0.2169 0.9619
O 0.7924 0.4680 0.8586
O 0.8148 0.2948 0.5292
O 0.9265 0.7505 0.2823
O 0.9848 0.6799 0.8203
F 0.0000 0.5000 0.1756
F 0.5000 0.0000 0.1756

Calculated values
The value obtained for the corrected total energy (MP2020 scheme) is -6.4115 eV per atom. For the uncorrected energy, the calculation gives -6.077 eV/atom. As for the crystal system: orthorhombic. The space-group type is Pba2.

---

(6)
Here is a relaxed structure of LiAl2H4Pb2O4F6 from the Materials Project. Energies are from PBE-GGA.

a b c (Å): 4.9555 7.3618 7.3715
angles (deg): 112.24 98.32 96.67
Fractional coordinates of all 19 atoms:
Li 0.0000 0.0000 0.0000
Al 0.3448 0.3162 0.3317
Al 0.6552 0.6838 0.6683
H 0.1801 0.4950 0.6594
H 0.2506 0.8459 0.6256
H 0.7494 0.1541 0.3744
H 0.8199 0.5050 0.3406
Pb 0.4029 0.7690 0.2412
Pb 0.5971 0.2310 0.7588
O 0.3541 0.4694 0.6106
O 0.4374 0.8525 0.5918
O 0.5626 0.1475 0.4082
O 0.6459 0.5306 0.3894
F 0.0384 0.1284 0.2903
F 0.1069 0.4627 0.2555
F 0.3563 0.1820 0.0698
F 0.6437 0.8180 0.9302
F 0.8931 0.5373 0.7445
F 0.9616 0.8716 0.7097

Calculated values
The value obtained for the corrected total energy (MP2020 scheme) is -5.6777 eV per atom. For the uncorrected energy, the calculation gives -5.387 eV/atom. As for the crystal system: triclinic. The space-group type is P-1.

---

Number 1: calculated formation energy -3685.0 meV per atom. Number 2: calculated formation energy -2810.6 meV per atom. Number 3: calculated formation energy -3171.8 meV per atom. Number 4: calculated formation energy -2901.4 meV per atom. Number 5: calculated formation energy -2263.1 meV per atom. Number 6: calculated formation energy -2431.6 meV per atom.